Record 1
Below is an optimized crystal structure of Li2CuF4, with properties calculated at the PBE level.

a b c (Å): 3.178 9.182 5.284
angles (deg): 90.00 105.58 90.00
Fractional coordinates of all 14 atoms:
Li1 0.103 0.168 0.434
Li2 0.103 0.332 0.934
Li3 0.897 0.668 0.066
Li4 0.897 0.832 0.566
Cu1 0.500 0.000 0.000
Cu2 0.500 0.500 0.500
F1 0.000 0.062 0.732
F2 0.000 0.438 0.232
F3 0.000 0.562 0.768
F4 0.000 0.938 0.268
F5 0.490 0.182 0.191
F6 0.490 0.318 0.691
F7 0.510 0.682 0.309
F8 0.510 0.818 0.809

Properties
DFT formation energy = -2.566 eV/atom
total energy after the MP2020 corrections = -4.79 eV per atom
uncorrected energy = -4.527 eV/atom
total magnetic moment = 2.02 Bohr magnetons per cell

=====

Record 2
Below is an optimized crystal structure of Li2Cu3F8, with properties calculated at the PBE level.

a b c (Å): 5.825 6.025 6.028
angles (deg): 61.82 63.98 61.41
Fractional coordinates of all 13 atoms:
Li1 0.076 0.127 0.135
Li2 0.924 0.873 0.865
Cu1 0.500 0.000 0.500
Cu2 0.500 0.500 0.000
Cu3 0.500 0.500 0.500
F1 0.254 0.861 0.942
F2 0.262 0.950 0.405
F3 0.278 0.443 0.871
F4 0.289 0.382 0.438
F5 0.711 0.618 0.562
F6 0.722 0.557 0.129
F7 0.738 0.050 0.595
F8 0.746 0.139 0.058

Properties
DFT formation energy = -2.181 eV/atom
total energy after the MP2020 corrections = -4.60 eV per atom
uncorrected energy = -4.315 eV/atom
total magnetic moment = 3.00 Bohr magnetons per cell

=====

Record 3
Below is an optimized crystal structure of Li3Cu2F8, with properties calculated at the PBE level.

a b c (Å): 5.913 5.175 9.641
angles (deg): 90.00 94.62 90.00
Fractional coordinates of all 26 atoms:
Li1 0.000 0.000 0.000
Li2 0.000 0.500 0.500
Li3 0.345 0.003 0.753
Li4 0.345 0.497 0.253
Li5 0.655 0.503 0.747
Li6 0.655 0.997 0.247
Cu1 0.138 0.506 0.869
Cu2 0.138 0.994 0.369
Cu3 0.862 0.006 0.631
Cu4 0.862 0.494 0.131
F1 0.041 0.691 0.683
F2 0.041 0.809 0.183
F3 0.146 0.149 0.568
F4 0.146 0.351 0.068
F5 0.278 0.676 0.420
F6 0.278 0.824 0.920
F7 0.403 0.154 0.313
F8 0.403 0.346 0.813
F9 0.597 0.654 0.187
F10 0.597 0.846 0.687
F11 0.722 0.176 0.080
F12 0.722 0.324 0.580
F13 0.854 0.649 0.932
F14 0.854 0.851 0.432
F15 0.959 0.191 0.817
F16 0.959 0.309 0.317

Properties
DFT formation energy = -2.403 eV/atom
total energy after the MP2020 corrections = -4.65 eV per atom
uncorrected energy = -4.368 eV/atom
total magnetic moment = 6.00 Bohr magnetons per cell

=====

Record 4
Below is an optimized crystal structure of Li4Cu5F17, with properties calculated at the PBE level.

a b c (Å): 6.453 9.497 11.378
angles (deg): 103.39 94.94 109.51
Fractional coordinates of all 52 atoms:
Li1 0.077 0.280 0.052
Li2 0.209 0.417 0.825
Li3 0.256 0.235 0.468
Li4 0.314 0.069 0.143
Li5 0.686 0.931 0.857
Li6 0.744 0.765 0.532
Li7 0.791 0.583 0.175
Li8 0.923 0.720 0.948
Cu1 0.191 0.715 0.694
Cu2 0.227 0.042 0.844
Cu3 0.248 0.549 0.340
Cu4 0.279 0.874 0.485
Cu5 0.335 0.686 0.121
Cu6 0.665 0.314 0.879
Cu7 0.721 0.126 0.515
Cu8 0.752 0.451 0.660
Cu9 0.773 0.958 0.156
Cu10 0.809 0.285 0.306
F1 0.021 0.167 0.555
F2 0.033 0.666 0.084
F3 0.069 0.999 0.220
F4 0.078 0.505 0.714
F5 0.132 0.339 0.359
F6 0.158 0.837 0.871
F7 0.208 0.130 0.010
F8 0.216 0.661 0.508
F9 0.259 0.929 0.678
F10 0.268 0.485 0.157
F11 0.310 0.750 0.301
F12 0.340 0.255 0.822
F13 0.355 0.604 0.957
F14 0.401 0.083 0.466
F15 0.443 0.903 0.110
F16 0.454 0.406 0.604
F17 0.491 0.754 0.739
F18 0.509 0.246 0.261
F19 0.546 0.594 0.396
F20 0.557 0.097 0.890
F21 0.599 0.917 0.534
F22 0.645 0.396 0.043
F23 0.660 0.745 0.178
F24 0.690 0.250 0.699
F25 0.732 0.515 0.843
F26 0.741 0.071 0.322
F27 0.784 0.339 0.492
F28 0.792 0.870 0.990
F29 0.842 0.163 0.129
F30 0.868 0.661 0.641
F31 0.922 0.495 0.286
F32 0.931 0.001 0.780
F33 0.967 0.334 0.916
F34 0.979 0.833 0.445

Properties
DFT formation energy = -2.164 eV/atom
total energy after the MP2020 corrections = -4.50 eV per atom
uncorrected energy = -4.196 eV/atom
total magnetic moment = 16.00 Bohr magnetons per cell

=====

Record 5
Below is an optimized crystal structure of Li2CuF4, with properties calculated at the PBE level.

a b c (Å): 5.596 5.602 11.056
angles (deg): 90.00 110.96 90.00
Fractional coordinates of all 28 atoms:
Li1 0.150 0.122 0.228
Li2 0.150 0.378 0.728
Li3 0.338 0.241 0.998
Li4 0.338 0.259 0.498
Li5 0.662 0.741 0.502
Li6 0.662 0.759 0.002
Li7 0.850 0.622 0.272
Li8 0.850 0.878 0.772
Cu1 0.256 0.670 0.120
Cu2 0.256 0.830 0.620
Cu3 0.744 0.170 0.380
Cu4 0.744 0.330 0.880
F1 0.020 0.177 0.843
F2 0.020 0.323 0.343
F3 0.107 0.140 0.602
F4 0.107 0.360 0.102
F5 0.409 0.534 0.609
F6 0.409 0.966 0.109
F7 0.435 0.021 0.378
F8 0.435 0.479 0.878
F9 0.565 0.521 0.122
F10 0.565 0.979 0.622
F11 0.591 0.034 0.891
F12 0.591 0.466 0.391
F13 0.893 0.640 0.898
F14 0.893 0.860 0.398
F15 0.980 0.677 0.657
F16 0.980 0.823 0.157

Properties
DFT formation energy = -2.559 eV/atom
total energy after the MP2020 corrections = -4.78 eV per atom
uncorrected energy = -4.520 eV/atom
total magnetic moment = 4.00 Bohr magnetons per cell

=====

Record 6
Below is an optimized crystal structure of Li3CuF4, with properties calculated at the PBE level.

a b c (Å): 6.437 5.545 5.124
angles (deg): 90.00 90.00 90.00
Fractional coordinates of all 16 atoms:
Li1 0.000 0.172 0.000
Li2 0.249 0.666 0.999
Li3 0.251 0.334 0.499
Li4 0.500 0.828 0.500
Li5 0.749 0.334 0.499
Li6 0.751 0.666 0.999
Cu1 0.000 0.831 0.497
Cu2 0.500 0.169 0.997
F1 0.000 0.195 0.371
F2 0.000 0.839 0.912
F3 0.231 0.345 0.869
F4 0.269 0.655 0.369
F5 0.500 0.161 0.412
F6 0.500 0.805 0.871
F7 0.731 0.655 0.369
F8 0.769 0.345 0.869

Properties
maximum piezoelectric response = 1.34 C/m²
DFT formation energy = -2.613 eV/atom
total energy after the MP2020 corrections = -4.80 eV per atom
uncorrected energy = -4.567 eV/atom
total magnetic moment = 0.00 Bohr magnetons per cell